Here is crystalline Sc at its relaxed geometry from the Materials Project database. Energies are from PBE-GGA.

abc: 10.8830 5.0005 6.4014
angles: 90.00 125.97 90.00
Last column: nearest neighbours and their distance in Å.
Space group C2/c (No. 15)
Inequivalent atoms, fractional coordinates:
Sc: 0.0000 0.0005 0.2500 [4 per cell]  14 Sc 3.20-3.39
Sc: 0.1668 0.4807 0.1643 [8 per cell]  7 Sc 2.90-3.24

Values from the calculation:
For the calculated total energy, the calculation gives -75.19 eV for the cell shown. The distance to the lowest polymorph of the same formula comes out at 66 meV/atom. The calculated formation energy comes out at 0.07 eV per atom.